Density functional theory data (r2SCAN) for a geometry-optimized HoNiSb2 structure.

Lattice parameters (Å, degrees): 4.3453 4.3453 9.2911 90.00 90.00 90.00
Element x y z (fractional)
Ho  0.0000  0.5000  0.7392
Ho  0.5000  0.0000  0.2608
Ni  0.5000  0.5000  0.5000
Ni  0.0000  0.0000  0.5000
Sb  0.5000  0.5000  0.0000
Sb  0.0000  0.0000  0.0000
Sb  0.0000  0.5000  0.3605
Sb  0.5000  0.0000  0.6395

For the theoretical density, the calculation gives 8.843 g/cm3. The calculated formation energy comes out at -70.18 kJ/mol of atoms.